1.
{
  "formula": "Sr2LiLaTaO6",
  "functional": "PBE",
  "state": "optimized geometry",
  "lattice": [[4.904, -3.378, 3.336], [3.880, -2.755, -3.384], [5.386, 2.161, -0.622]],
  "species": ["O", "O", "O", "O", "O", "O", "La", "Ta", "Sr", "Sr", "Li"],
  "frac_coords": [[0.797, 0.225, 0.229], [0.796, 0.226, 0.751], [0.194, 0.769, 0.769], [0.194, 0.268, 0.769], [0.195, 0.769, 0.268], [0.797, 0.749, 0.229], [0.500, 0.500, 0.501], [0.032, 0.989, 0.990], [0.097, 0.301, 0.301], [0.867, 0.711, 0.710], [0.615, 0.128, 0.129]],
  "space_group": "No. 8",
  "magnetic_moment_mub_per_cell": 1.00
}

=====

2.
{
  "formula": "Sr2LiLaTaO6",
  "functional": "PBE",
  "state": "optimized geometry",
  "lattice": [[-4.170, -4.173, -0.010], [-4.170, -0.010, -4.173], [0.553, -4.735, -4.735]],
  "species": ["Ta", "O", "O", "O", "O", "O", "O", "Sr", "Sr", "La", "Li"],
  "frac_coords": [[0.003, 0.003, 0.989], [0.763, 0.242, 0.752], [0.242, 0.242, 0.753], [0.264, 0.779, 0.174], [0.242, 0.763, 0.752], [0.779, 0.264, 0.174], [0.780, 0.780, 0.174], [0.718, 0.718, 0.847], [0.191, 0.191, 0.430], [0.517, 0.517, 0.449], [0.366, 0.366, 0.902]],
  "space_group": "No. 8",
  "magnetic_moment_mub_per_cell": 0.00
}

=====

So which one wins? Going from most stable to least: 1, 2.

=====

1.
{
  "formula": "LiLaTi2O6",
  "functional": "PBE",
  "state": "optimized geometry",
  "lattice": [[-3.259, -2.620, -3.664], [4.494, -2.065, -2.522], [-0.242, -6.212, 4.657]],
  "species": ["O", "O", "O", "O", "O", "O", "O", "O", "O", "O", "O", "O", "Ti", "Ti", "Ti", "Ti", "Li", "Li", "La", "La"],
  "frac_coords": [[0.769, 0.269, 0.982], [0.231, 0.731, 0.018], [0.750, 0.250, 0.520], [0.250, 0.750, 0.480], [0.962, 0.000, 0.250], [0.545, 0.500, 0.250], [0.250, 0.250, 0.020], [0.455, 0.500, 0.750], [0.750, 0.750, 0.980], [0.769, 0.731, 0.518], [0.231, 0.269, 0.482], [0.038, 0.000, 0.750], [0.000, 0.000, 0.500], [0.500, 0.500, 0.500], [0.500, 0.500, 0.000], [0.000, 0.000, 0.000], [0.500, 0.000, 0.500], [0.500, 0.000, 0.000], [0.991, 0.500, 0.250], [0.009, 0.500, 0.750]],
  "space_group": "No. 13",
  "magnetic_moment_mub_per_cell": 0.00
}

=====

2.
{
  "formula": "LiLaTi2O6",
  "functional": "PBE",
  "state": "optimized geometry",
  "lattice": [[0.000, 3.890, 3.890], [3.890, 0.000, 3.890], [3.890, 3.890, 0.000]],
  "species": ["O", "O", "O", "O", "O", "O", "La", "Li", "Ti", "Ti"],
  "frac_coords": [[0.500, 0.000, 0.500], [0.000, 0.500, 0.000], [0.000, 0.000, 0.500], [0.500, 0.000, 0.000], [0.000, 0.500, 0.500], [0.500, 0.500, 0.000], [0.500, 0.500, 0.500], [0.000, 0.000, 0.000], [0.250, 0.250, 0.250], [0.750, 0.750, 0.750]],
  "space_group": "No. 225",
  "magnetic_moment_mub_per_cell": 0.00
}

=====

So which one wins? Going from most stable to least: 1, 2.

=====

1.
{
  "formula": "LiLa3Ti4O12",
  "functional": "PBE",
  "state": "optimized geometry",
  "lattice": [[-2.778, 2.778, 7.872], [2.778, -2.778, 7.872], [2.778, 2.778, -7.872]],
  "species": ["O", "O", "O", "O", "O", "O", "O", "O", "O", "O", "O", "O", "Ti", "Ti", "Ti", "Ti", "Li", "La", "La", "La"],
  "frac_coords": [[0.883, 0.883, 0.510], [0.750, 0.250, 0.500], [0.000, 0.500, 0.500], [0.117, 0.627, 0.000], [0.250, 0.750, 0.500], [0.373, 0.373, 0.490], [0.373, 0.883, 0.000], [0.117, 0.117, 0.490], [0.627, 0.627, 0.510], [0.627, 0.117, 0.000], [0.883, 0.373, 0.000], [0.500, 0.000, 0.500], [0.877, 0.377, 0.500], [0.377, 0.877, 0.500], [0.623, 0.123, 0.500], [0.123, 0.623, 0.500], [0.500, 0.500, 0.000], [0.000, 0.000, 0.000], [0.748, 0.748, 0.000], [0.252, 0.252, 0.000]],
  "space_group": "No. 139",
  "magnetic_moment_mub_per_cell": 0.01
}

=====

2.
{
  "formula": "LiLa3Ti4O12",
  "functional": "PBE",
  "state": "optimized geometry",
  "lattice": [[1.926, -5.088, -1.194], [5.261, 1.741, 0.562], [-0.117, -1.897, 7.597]],
  "species": ["Ti", "Ti", "Ti", "Ti", "O", "O", "O", "O", "O", "O", "O", "O", "O", "O", "O", "O", "La", "La", "La", "Li"],
  "frac_coords": [[0.748, 0.249, 0.259], [0.249, 0.748, 0.259], [0.259, 0.750, 0.748], [0.750, 0.259, 0.748], [0.487, 0.008, 0.241], [0.304, 0.699, 0.002], [0.008, 0.487, 0.241], [0.493, 0.493, 0.295], [0.000, 0.000, 0.804], [0.002, 0.500, 0.757], [0.500, 0.002, 0.757], [0.492, 0.492, 0.705], [0.997, 0.997, 0.193], [0.188, 0.802, 0.503], [0.802, 0.188, 0.503], [0.699, 0.304, 0.002], [0.254, 0.254, 0.502], [0.750, 0.750, 0.013], [0.253, 0.253, 0.003], [0.829, 0.829, 0.576]],
  "space_group": "No. 8",
  "magnetic_moment_mub_per_cell": 0.40
}

=====

So which one wins? Going from most stable to least: 2, 1.